1.
First-principles (PBE with a Hubbard U) data for a relaxed structure of V2O3, as listed in the Materials Project database.

a = 7.6453 Å, b = 3.1104 Å, c = 13.3949 Å
α = 90.00°, β = 98.50°, γ = 90.00°
Space group P2_1/m (No. 11)
One atom of each set of equivalent atoms:
1 V 0.0007 0.2500 0.0989 x2
2 V 0.0483 0.7500 0.6122 x2
3 V 0.3137 0.2500 0.4839 x2
4 V 0.3202 0.2500 0.7834 x2
5 V 0.3199 0.7500 0.2830 x2
6 V 0.3729 0.2500 0.0706 x2
7 O 0.1214 0.7500 0.4748 x2
8 O 0.1334 0.2500 0.9752 x2
9 O 0.1543 0.7500 0.7934 x2
10 O 0.1849 0.2500 0.3289 x2
11 O 0.1923 0.7500 0.1405 x2
12 O 0.2205 0.2500 0.6344 x2
13 O 0.4460 0.7500 0.4253 x2
14 O 0.4602 0.2500 0.9257 x2
15 O 0.4820 0.2500 0.2293 x2

Computed properties:
The MP2020-corrected energy comes out at -9.08 eV/atom.



2.
First-principles (PBE with a Hubbard U) data for a relaxed structure of V6O13, as listed in the Materials Project database.

a = 20.1103 Å, b = 12.1006 Å, c = 3.7584 Å
α = 90.00°, β = 90.00°, γ = 90.00°
Space group Cmcm (No. 63)
One atom of each set of equivalent atoms:
1 V 0.0000 0.0993 0.2500 x4
2 V 0.0000 0.3978 0.2500 x4
3 V 0.1835 0.1057 0.2500 x8
4 V 0.1825 0.4025 0.2500 x8
5 O 0.0000 0.0729 0.7500 x4
6 O 0.0000 0.2546 0.2500 x4
7 O 0.0000 0.4317 0.7500 x4
8 O 0.0986 0.4031 0.2500 x8
9 O 0.1002 0.0972 0.2500 x8
10 O 0.1977 0.2449 0.2500 x8
11 O 0.2017 0.0735 0.7500 x8
12 O 0.2034 0.4283 0.7500 x8

Computed properties:
The MP2020-corrected energy comes out at -8.63 eV/atom.



3.
First-principles (PBE with a Hubbard U) data for a relaxed structure of VO2, as listed in the Materials Project database.

a = 2.9386 Å, b = 9.4769 Å, c = 10.0593 Å
α = 90.00°, β = 90.00°, γ = 90.00°
Space group Cmc2_1 (No. 36)
One atom of each set of equivalent atoms:
1 V 0.0000 0.1245 0.0000 x4
2 V 0.0000 0.1412 0.3410 x4
3 O 0.0000 0.0673 0.1632 x4
4 O 0.0000 0.2422 0.8079 x4
5 O 0.0000 0.2451 0.5147 x4
6 O 0.0000 0.4969 0.9111 x4

Computed properties:
The MP2020-corrected energy comes out at -8.61 eV/atom.



4.
First-principles (PBE with a Hubbard U) data for a relaxed structure of VO2, as listed in the Materials Project database.

a = 9.1369 Å, b = 8.3355 Å, c = 5.6548 Å
α = 90.00°, β = 93.64°, γ = 90.00°
Space group C2/m (No. 12)
One atom of each set of equivalent atoms:
1 V 0.0000 0.0000 0.0000 x2
2 V 0.0000 0.5000 0.5000 x2
3 V 0.2380 0.1853 0.2489 x8
4 O 0.1139 0.0000 0.3050 x4
5 O 0.1162 0.5000 0.7856 x4
6 O 0.1418 0.1674 0.9378 x8
7 O 0.1417 0.3301 0.4162 x8

Computed properties:
The MP2020-corrected energy comes out at -8.74 eV/atom.



5.
First-principles (PBE with a Hubbard U) data for a relaxed structure of V2O5, as listed in the Materials Project database.

a = 11.6164 Å, b = 11.7571 Å, c = 11.9682 Å
α = 91.34°, β = 94.37°, γ = 98.57°
Space group P1 (No. 1)
One atom of each set of equivalent atoms:
1 V 0.0000 0.0000 0.0000 x1
2 V 0.0058 0.2988 0.9212 x1
3 V 0.0289 0.4655 0.5107 x1
4 V 0.0378 0.5944 0.9032 x1
5 V 0.0680 0.3108 0.2500 x1
6 V 0.0725 0.1948 0.6515 x1
7 V 0.0927 0.6939 0.7039 x1
8 V 0.1010 0.8198 0.2382 x1
9 V 0.2341 0.5827 0.3296 x1
10 V 0.2730 0.1087 0.9219 x1
11 V 0.3021 0.3548 0.0793 x1
12 V 0.3345 0.1736 0.5104 x1
13 V 0.3452 0.7854 0.2014 x1
14 V 0.3638 0.8558 0.8044 x1
15 V 0.4212 0.5777 0.9019 x1
16 V 0.4461 0.4089 0.3453 x1
17 V 0.5152 0.9735 0.0510 x1
18 V 0.5216 0.3799 0.7344 x1
19 V 0.5862 0.9014 0.3247 x1
20 V 0.6214 0.1150 0.5344 x1
21 V 0.7003 0.3750 0.9427 x1
22 V 0.7055 0.2474 0.3176 x1
23 V 0.7140 0.4706 0.5236 x1
24 V 0.7516 0.8796 0.7847 x1
25 V 0.7704 0.5096 0.1869 x1
26 V 0.7802 0.1030 0.9709 x1
27 V 0.8244 0.7575 0.3195 x1
28 V 0.8558 0.7690 0.0276 x1
29 V 0.9127 0.0544 0.3228 x1
30 V 0.9581 0.9196 0.5809 x1
31 O 0.0125 0.2560 0.7829 x1
32 O 0.0257 0.3685 0.3804 x1
33 O 0.0297 0.1504 0.2729 x1
34 O 0.0356 0.6090 0.5801 x1
35 O 0.0394 0.0418 0.6650 x1
36 O 0.0565 0.8314 0.5906 x1
37 O 0.0885 0.3988 0.6130 x1
38 O 0.1047 0.9386 0.3101 x1
39 O 0.1371 0.5822 0.7866 x1
40 O 0.1367 0.6309 0.0053 x1
41 O 0.1440 0.3248 0.9786 x1
42 O 0.1514 0.4860 0.2417 x1
43 O 0.1550 0.0521 0.0036 x1
44 O 0.1704 0.5459 0.4512 x1
45 O 0.2011 0.7329 0.3192 x1
46 O 0.2053 0.2961 0.1818 x1
47 O 0.2095 0.2034 0.5828 x1
48 O 0.2127 0.8025 0.7510 x1
49 O 0.2139 0.1771 0.8199 x1
50 O 0.2210 0.8422 0.1408 x1
51 O 0.2786 0.0653 0.4295 x1
52 O 0.3212 0.9997 0.8453 x1
53 O 0.3362 0.4814 0.0008 x1
54 O 0.3436 0.6409 0.2077 x1
55 O 0.3511 0.2471 0.0071 x1
56 O 0.3748 0.5204 0.3816 x1
57 O 0.3764 0.2878 0.4121 x1
58 O 0.3755 0.7063 0.8574 x1
59 O 0.4072 0.0495 0.0539 x1
60 O 0.4200 0.2865 0.6668 x1
61 O 0.4230 0.3928 0.1980 x1
62 O 0.4240 0.8741 0.6886 x1
63 O 0.4344 0.8550 0.3277 x1
64 O 0.4454 0.8275 0.1049 x1
65 O 0.4467 0.4941 0.7775 x1
66 O 0.4731 0.1185 0.5536 x1
67 O 0.5000 0.9137 0.9172 x1
68 O 0.5483 0.6131 0.9673 x1
69 O 0.5681 0.3108 0.8601 x1
70 O 0.5783 0.2111 0.2503 x1
71 O 0.5934 0.4387 0.4014 x1
72 O 0.6012 0.9759 0.2056 x1
73 O 0.6286 0.8273 0.7201 x1
74 O 0.6354 0.4096 0.6413 x1
75 O 0.6393 0.9914 0.4466 x1
76 O 0.6476 0.0931 0.0285 x1
77 O 0.6649 0.7882 0.3166 x1
78 O 0.6675 0.4390 0.0733 x1
79 O 0.6856 0.2435 0.4665 x1
80 O 0.6966 0.1137 0.6535 x1
81 O 0.7234 0.6061 0.5518 x1
82 O 0.7462 0.0266 0.8429 x1
83 O 0.7500 0.4817 0.8687 x1
84 O 0.7600 0.7958 0.9066 x1
85 O 0.7704 0.7045 0.1235 x1
86 O 0.7728 0.3788 0.2683 x1
87 O 0.7734 0.6038 0.3135 x1
88 O 0.7974 0.1371 0.3006 x1
89 O 0.8026 0.2703 0.9479 x1
90 O 0.8396 0.9943 0.0485 x1
91 O 0.8484 0.8791 0.6719 x1
92 O 0.8593 0.9205 0.2645 x1
93 O 0.8602 0.4418 0.5155 x1
94 O 0.8656 0.7961 0.4527 x1
95 O 0.8968 0.5217 0.1395 x1
96 O 0.9185 0.6607 0.9771 x1
97 O 0.9349 0.0163 0.4615 x1
98 O 0.9562 0.1519 0.9782 x1
99 O 0.9652 0.7355 0.2642 x1
100 O 0.9671 0.9384 0.8765 x1
101 O 0.9711 0.2090 0.5554 x1
102 O 0.9735 0.3241 0.1459 x1
103 O 0.9766 0.4462 0.9104 x1
104 O 0.9844 0.7057 0.7906 x1
105 O 0.9927 0.8668 0.0884 x1

Computed properties:
The MP2020-corrected energy comes out at -8.33 eV/atom.



6.
First-principles (PBE with a Hubbard U) data for a relaxed structure of V2O5, as listed in the Materials Project database.

a = 11.4224 Å, b = 2.8880 Å, c = 5.3628 Å
α = 90.00°, β = 97.33°, γ = 90.00°
Space group C2/m (No. 12)
One atom of each set of equivalent atoms:
1 V 0.1397 0.0000 0.3733 x4
2 O 0.0000 0.0000 0.5000 x2
3 O 0.1122 0.5000 0.1682 x4
4 O 0.1941 0.5000 0.6305 x4

Computed properties:
The MP2020-corrected energy comes out at -8.29 eV/atom.



7.
First-principles (PBE with a Hubbard U) data for a relaxed structure of VO2, as listed in the Materials Project database.

a = 5.2436 Å, b = 10.7647 Å, c = 5.8776 Å
α = 90.00°, β = 92.85°, γ = 90.00°
Space group P2_1/m (No. 11)
One atom of each set of equivalent atoms:
1 V 0.0000 0.0000 0.0000 x2
2 V 0.0000 0.0000 0.5000 x2
3 V 0.4984 0.0047 0.2502 x4
4 O 0.1609 0.5910 0.7435 x4
5 O 0.1639 0.5881 0.2442 x4
6 O 0.3371 0.0896 0.0043 x4
7 O 0.3381 0.0896 0.5088 x4

Computed properties:
The MP2020-corrected energy comes out at -8.67 eV/atom.



8.
First-principles (PBE with a Hubbard U) data for a relaxed structure of V2O3, as listed in the Materials Project database.

a = 3.0512 Å, b = 10.0591 Å, c = 15.8221 Å
α = 90.00°, β = 90.00°, γ = 90.00°
Space group Cmcm (No. 63)
One atom of each set of equivalent atoms:
1 V 0.0000 0.1034 0.1409 x8
2 V 0.0000 0.3666 0.0477 x8
3 O 0.0000 0.0000 0.0000 x4
4 O 0.0000 0.1537 0.2500 x4
5 O 0.0000 0.2720 0.5742 x8
6 O 0.0000 0.4790 0.1432 x8

Computed properties:
The MP2020-corrected energy comes out at -8.90 eV/atom.



9.
First-principles (PBE with a Hubbard U) data for a relaxed structure of VO2, as listed in the Materials Project database.

a = 3.0212 Å, b = 10.5939 Å, c = 8.7528 Å
α = 90.00°, β = 91.30°, γ = 90.00°
Space group Pc (No. 7)
One atom of each set of equivalent atoms:
1 V 0.0000 0.1305 0.0000 x2
2 V 0.4808 0.1485 0.6345 x2
3 V 0.5124 0.3594 0.1190 x2
4 V 0.9682 0.3581 0.4883 x2
5 O 0.4656 0.2337 0.4495 x2
6 O 0.4702 0.4680 0.5350 x2
7 O 0.4849 0.1147 0.8497 x2
8 O 0.5036 0.1745 0.1332 x2
9 O 0.9515 0.3896 0.2681 x2
10 O 0.9768 0.0346 0.5788 x2
11 O 0.9807 0.2699 0.6731 x2
12 O 0.9962 0.3188 0.9875 x2

Computed properties:
The MP2020-corrected energy comes out at -8.74 eV/atom.



Number 1: E_tot -7.98 eV per atom. Number 2: E_tot -7.62 eV per atom. Number 3: E_tot -7.58 eV per atom. Number 4: E_tot -7.72 eV per atom. Number 5: E_tot -7.35 eV per atom. Number 6: E_tot -7.31 eV per atom. Number 7: E_tot -7.65 eV per atom. Number 8: E_tot -7.81 eV per atom. Number 9: E_tot -7.71 eV per atom.